Co3P2O10 after structural relaxation. Source: the Materials Project, functional PBE with a Hubbard U.

Calculated values
As for the energy of formation: -1.7449 eV/atom. Its magnetization is 0.3291 μB/atom. The total energy is -96.0 eV per formula unit.

```
30
Lattice="7.154 0.000 0.000 0.000 7.561 0.000 -3.482 0.000 6.413" Properties=species:S:1:pos:R:3 pbc="T T T"
Co 0.000 0.000 0.000
Co -1.741 3.781 3.206
Co 0.232 1.652 3.017
Co -1.509 2.129 6.224
Co 5.181 5.433 0.189
Co 3.439 5.909 3.395
P 0.941 4.643 1.629
P -0.800 6.699 4.835
P 4.471 0.863 1.578
P 2.730 2.918 4.784
O 0.023 5.553 0.785
O -1.718 5.789 3.991
O -1.745 0.121 5.634
O -0.004 3.659 2.427
O 0.761 1.019 1.357
O -0.980 2.762 4.564
O 0.105 0.003 3.964
O 1.847 3.777 0.758
O 1.748 5.490 2.603
O 0.007 5.852 5.810
O 3.664 1.710 0.603
O 1.923 2.071 3.809
O 3.566 7.558 2.448
O 1.825 3.784 5.654
O 4.651 4.799 1.849
O 2.910 6.543 5.055
O 3.676 3.902 3.985
O 5.417 7.440 0.779
O 5.390 1.773 2.421
O 3.649 2.008 5.628
```